Density functional theory data (PBE) for crystalline Bi12Pb2Cl6O17 at its relaxed geometry.

Lattice parameters (Å, degrees): 30.3158 3.9308 12.8104 90.00 105.93 90.00
Space group Cm (No. 8)
Asymmetric unit:
Bi 0.0000 0.0000 0.0000 (multiplicity 2)
Bi 0.0018 0.5000 0.2482 (multiplicity 2)
Bi 0.0901 0.5000 0.5694 (multiplicity 2)
Bi 0.1021 0.0000 0.8176 (multiplicity 2)
Bi 0.1072 0.5000 0.1058 (multiplicity 2)
Bi 0.1885 0.5000 0.4214 (multiplicity 2)
Bi 0.2049 0.5000 0.9608 (multiplicity 2)
Bi 0.2892 0.5000 0.2790 (multiplicity 2)
Bi 0.3090 0.5000 0.8223 (multiplicity 2)
Bi 0.3945 0.5000 0.1321 (multiplicity 2)
Bi 0.3987 0.0000 0.3812 (multiplicity 2)
Bi 0.4132 0.5000 0.6773 (multiplicity 2)
Pb 0.2005 0.0000 0.6987 (multiplicity 2)
Pb 0.2981 0.0000 0.5453 (multiplicity 2)
Cl 0.0037 0.5000 0.8185 (multiplicity 2)
Cl 0.0857 0.0000 0.3173 (multiplicity 2)
Cl 0.2011 0.0000 0.1914 (multiplicity 2)
Cl 0.3095 0.0000 0.0618 (multiplicity 2)
Cl 0.4077 0.0000 0.9408 (multiplicity 2)
Cl 0.4800 0.5000 0.4252 (multiplicity 2)
O 0.0240 0.5000 0.0926 (multiplicity 2)
O 0.0749 0.0000 0.0372 (multiplicity 2)
O 0.0761 0.0000 0.6331 (multiplicity 2)
O 0.1232 0.5000 0.7473 (multiplicity 2)
O 0.1307 0.5000 0.9653 (multiplicity 2)
O 0.1615 0.5000 0.5617 (multiplicity 2)
O 0.1792 0.0000 0.8859 (multiplicity 2)
O 0.2155 0.0000 0.4969 (multiplicity 2)
O 0.2365 0.5000 0.8222 (multiplicity 2)
O 0.2662 0.5000 0.4228 (multiplicity 2)
O 0.2854 0.0000 0.7391 (multiplicity 2)
O 0.3220 0.0000 0.3507 (multiplicity 2)
O 0.3458 0.5000 0.6834 (multiplicity 2)
O 0.3717 0.5000 0.2898 (multiplicity 2)
O 0.4038 0.0000 0.5818 (multiplicity 2)
O 0.4226 0.0000 0.2165 (multiplicity 2)
O 0.4736 0.5000 0.1584 (multiplicity 2)

Summary:
- ΔH_f (0 K) (eV/atom) = -1.52
- mass density (g/cm3) = 7.7

***

Density functional theory data (PBE) for crystalline Bi4PbCl2O6 at its relaxed geometry.

Lattice parameters (Å, degrees): 3.9834 3.9834 31.5835 90.00 90.00 90.00
Space group I4/mmm (No. 139)
Asymmetric unit:
Bi 0.0000 0.0000 0.0855 (multiplicity 4)
Bi 0.0000 0.0000 0.2110 (multiplicity 4)
Pb 0.0000 0.0000 0.5000 (multiplicity 2)
Cl 0.0000 0.0000 0.3341 (multiplicity 4)
O 0.0000 0.5000 0.0545 (multiplicity 8)
O 0.0000 0.5000 0.2500 (multiplicity 4)

Summary:
- ΔH_f (0 K) (eV/atom) = -1.46
- mass density (g/cm3) = 8.0

***

Density functional theory data (PBE) for crystalline Rb3Bi2S2Cl5O10 at its relaxed geometry.

Lattice parameters (Å, degrees): 6.3397 21.7163 7.5506 90.00 96.70 90.00
Space group P2_1 (No. 4)
Asymmetric unit:
Rb 0.0058 0.0000 0.3921 (multiplicity 2)
Rb 0.1247 0.6910 0.3304 (multiplicity 2)
Rb 0.2545 0.8399 0.8225 (multiplicity 2)
Bi 0.3153 0.1746 0.2079 (multiplicity 2)
Bi 0.4264 0.5178 0.1388 (multiplicity 2)
S 0.0770 0.0313 0.8741 (multiplicity 2)
S 0.1893 0.6616 0.8134 (multiplicity 2)
Cl 0.2437 0.2650 0.4125 (multiplicity 2)
Cl 0.3670 0.2489 0.9405 (multiplicity 2)
Cl 0.3666 0.4273 0.3471 (multiplicity 2)
Cl 0.4436 0.0968 0.5257 (multiplicity 2)
Cl 0.4724 0.4441 0.8742 (multiplicity 2)
O 0.0027 0.8488 0.1730 (multiplicity 2)
O 0.0349 0.6282 0.6842 (multiplicity 2)
O 0.0526 0.4979 0.0025 (multiplicity 2)
O 0.0639 0.6973 0.9347 (multiplicity 2)
O 0.0747 0.5639 0.2592 (multiplicity 2)
O 0.1223 0.8462 0.3146 (multiplicity 2)
O 0.2052 0.9856 0.7792 (multiplicity 2)
O 0.2325 0.0739 0.9735 (multiplicity 2)
O 0.3171 0.7060 0.7129 (multiplicity 2)
O 0.3442 0.6194 0.9142 (multiplicity 2)

Summary:
- ΔH_f (0 K) (eV/atom) = -1.47
- mass density (g/cm3) = 3.5

***

Density functional theory data (PBE) for crystalline Bi3Se2ClO8 at its relaxed geometry.

Lattice parameters (Å, degrees): 7.5057 10.7882 8.0330 90.00 90.00 90.00
Space group Pmmn (No. 59, origin choice 2)
Asymmetric unit:
Bi 0.0000 0.0000 0.0000 (multiplicity 4)
Bi 0.2500 0.2500 0.2525 (multiplicity 2)
Se 0.2500 0.5657 0.3877 (multiplicity 4)
Cl 0.2500 0.7500 0.8773 (multiplicity 2)
O 0.0647 0.5798 0.2589 (multiplicity 8)
O 0.2500 0.0913 0.4400 (multiplicity 4)
O 0.2500 0.1140 0.0375 (multiplicity 4)

Summary:
- ΔH_f (0 K) (eV/atom) = -1.21
- mass density (g/cm3) = 4.8

***

Density functional theory data (PBE) for crystalline BiSeClO3 at its relaxed geometry.

Lattice parameters (Å, degrees): 12.1824 5.4297 6.9527 90.00 90.00 90.00
Space group Pnma (No. 62)
Asymmetric unit:
Bi 0.0466 0.2500 0.2062 (multiplicity 4)
Se 0.2085 0.7500 0.0182 (multiplicity 4)
Cl 0.0540 0.7500 0.3923 (multiplicity 4)
O 0.1135 0.5158 0.9722 (multiplicity 8)
O 0.2268 0.2500 0.2987 (multiplicity 4)

Summary:
- ΔH_f (0 K) (eV/atom) = -1.36
- ΔE to the lowest computed polymorph (meV/atom) = 7
- mass density (g/cm3) = 5.4

***

Density functional theory data (PBE) for crystalline BiSeClO3 at its relaxed geometry.

Lattice parameters (Å, degrees): 6.5833 8.0607 8.8841 90.00 90.00 90.00
Space group P2_12_12_1 (No. 19)
Asymmetric unit:
Bi 0.0388 0.1947 0.3229 (multiplicity 4)
Se 0.1479 0.0885 0.9494 (multiplicity 4)
Cl 0.2494 0.5149 0.8457 (multiplicity 4)
O 0.1261 0.8936 0.3486 (multiplicity 4)
O 0.1654 0.8721 0.9656 (multiplicity 4)
O 0.2358 0.1565 0.1232 (multiplicity 4)

Summary:
- ΔH_f (0 K) (eV/atom) = -1.36
- ΔE to the lowest computed polymorph (meV/atom) = 0
- mass density (g/cm3) = 5.2

***

Density functional theory data (PBE) for crystalline Sr3BiCl3O3 at its relaxed geometry.

Lattice parameters (Å, degrees): 6.7615 11.5780 11.9425 90.00 90.00 90.00
Space group Pnma (No. 62)
Asymmetric unit:
Sr 0.1556 0.2500 0.0326 (multiplicity 4)
Sr 0.1667 0.0706 0.3899 (multiplicity 8)
Bi 0.0995 0.2500 0.6266 (multiplicity 4)
Cl 0.0858 0.7500 0.7277 (multiplicity 4)
Cl 0.0935 0.5054 0.1458 (multiplicity 8)
O 0.0788 0.6228 0.4517 (multiplicity 8)
O 0.2043 0.7500 0.9897 (multiplicity 4)

Summary:
- ΔH_f (0 K) (eV/atom) = -2.56
- mass density (g/cm3) = 4.4

***

Density functional theory data (PBE) for crystalline Bi3Te4Cl5O10 at its relaxed geometry.

Lattice parameters (Å, degrees): 15.5392 4.1092 13.5903 90.00 97.96 90.00
Space group C2/m (No. 12)
Asymmetric unit:
Bi 0.0000 0.0000 0.0000 (multiplicity 2)
Bi 0.2160 0.0000 0.8040 (multiplicity 4)
Te 0.0272 0.5000 0.7704 (multiplicity 4)
Te 0.1621 0.0000 0.5051 (multiplicity 4)
Cl 0.0000 0.5000 0.5000 (multiplicity 2)
Cl 0.1500 0.0000 0.2727 (multiplicity 4)
Cl 0.1748 0.0000 0.0244 (multiplicity 4)
O 0.0042 0.5000 0.0993 (multiplicity 4)
O 0.0614 0.0000 0.7986 (multiplicity 4)
O 0.1534 0.5000 0.7965 (multiplicity 4)
O 0.1668 0.0000 0.6420 (multiplicity 4)
O 0.2076 0.5000 0.5006 (multiplicity 4)

Summary:
- ΔH_f (0 K) (eV/atom) = -1.39
- mass density (g/cm3) = 5.7

***

Density functional theory data (PBE) for crystalline Bi12PtCl12 at its relaxed geometry.

Lattice parameters (Å, degrees): 9.3346 9.4148 9.5430 89.43 89.44 87.59
Space group P1 (No. 1)
Asymmetric unit:
Bi 0.0000 0.0000 0.0000 (multiplicity 1)
Bi 0.0000 0.2317 0.7913 (multiplicity 1)
Bi 0.1659 0.5438 0.2790 (multiplicity 1)
Bi 0.1755 0.9398 0.7232 (multiplicity 1)
Bi 0.4211 0.2152 0.2073 (multiplicity 1)
Bi 0.4220 0.5413 0.9547 (multiplicity 1)
Bi 0.4907 0.4574 0.5228 (multiplicity 1)
Bi 0.4928 0.7879 0.2731 (multiplicity 1)
Bi 0.7452 0.0005 0.7999 (multiplicity 1)
Bi 0.7475 0.4618 0.1974 (multiplicity 1)
Bi 0.9110 0.7639 0.6374 (multiplicity 1)
Bi 0.9328 0.0491 0.5120 (multiplicity 1)
Pt 0.4567 0.5019 0.2389 (multiplicity 1)
Cl 0.1252 0.2527 0.2570 (multiplicity 1)
Cl 0.1250 0.5742 0.9894 (multiplicity 1)
Cl 0.1947 0.5045 0.5713 (multiplicity 1)
Cl 0.1959 0.8399 0.3129 (multiplicity 1)
Cl 0.3846 0.2534 0.9129 (multiplicity 1)
Cl 0.4537 0.8404 0.9828 (multiplicity 1)
Cl 0.4608 0.1649 0.4926 (multiplicity 1)
Cl 0.5282 0.7508 0.5649 (multiplicity 1)
Cl 0.7177 0.1633 0.1711 (multiplicity 1)
Cl 0.7206 0.4934 0.9069 (multiplicity 1)
Cl 0.7882 0.4213 0.4885 (multiplicity 1)
Cl 0.7881 0.7506 0.2287 (multiplicity 1)

Summary:
- ΔH_f (0 K) (eV/atom) = -0.92
- mass density (g/cm3) = 6.2

***

Density functional theory data (PBE) for crystalline Bi5S6Cl3 at its relaxed geometry.

Lattice parameters (Å, degrees): 12.2195 12.2348 12.3153 109.66 109.33 108.77
Space group P1 (No. 1)
Asymmetric unit:
Bi 0.0000 0.0000 0.0000 (multiplicity 1)
Bi 0.0007 0.4364 0.1301 (multiplicity 1)
Bi 0.0818 0.8054 0.6566 (multiplicity 1)
Bi 0.1988 0.7339 0.0559 (multiplicity 1)
Bi 0.2672 0.4061 0.9578 (multiplicity 1)
Bi 0.2774 0.5679 0.7273 (multiplicity 1)
Bi 0.2889 0.1180 0.5843 (multiplicity 1)
Bi 0.3198 0.3465 0.3207 (multiplicity 1)
Bi 0.3473 0.7167 0.4533 (multiplicity 1)
Bi 0.3837 0.0747 0.9981 (multiplicity 1)
Bi 0.4927 0.0549 0.3728 (multiplicity 1)
Bi 0.6053 0.4572 0.9072 (multiplicity 1)
Bi 0.6418 0.8769 0.0424 (multiplicity 1)
Bi 0.6659 0.6897 0.6973 (multiplicity 1)
Bi 0.6684 0.0562 0.7915 (multiplicity 1)
Bi 0.6732 0.8138 0.3878 (multiplicity 1)
Bi 0.7734 0.4986 0.3244 (multiplicity 1)
Bi 0.8242 0.3984 0.7149 (multiplicity 1)
Bi 0.9333 0.2032 0.3432 (multiplicity 1)
Bi 0.9683 0.7857 0.2576 (multiplicity 1)
S 0.0183 0.6277 0.3481 (multiplicity 1)
S 0.0538 0.9444 0.5227 (multiplicity 1)
S 0.1263 0.5027 0.8404 (multiplicity 1)
S 0.1360 0.2584 0.0824 (multiplicity 1)
S 0.1428 0.0271 0.8513 (multiplicity 1)
S 0.1886 0.4556 0.4009 (multiplicity 1)
S 0.2427 0.5806 0.1708 (multiplicity 1)
S 0.2642 0.8967 0.3488 (multiplicity 1)
S 0.3073 0.8099 0.8913 (multiplicity 1)
S 0.3087 0.0504 0.1646 (multiplicity 1)
S 0.3788 0.2595 0.8442 (multiplicity 1)
S 0.4534 0.5896 0.9482 (multiplicity 1)
S 0.4878 0.8450 0.2099 (multiplicity 1)
S 0.5024 0.7801 0.7294 (multiplicity 1)
S 0.5049 0.6174 0.4209 (multiplicity 1)
S 0.5775 0.9432 0.5347 (multiplicity 1)
S 0.6052 0.2506 0.7085 (multiplicity 1)
S 0.7143 0.6307 0.1990 (multiplicity 1)
S 0.7606 0.7494 0.9595 (multiplicity 1)
S 0.8215 0.7077 0.5294 (multiplicity 1)
S 0.8221 0.9513 0.2859 (multiplicity 1)
S 0.8235 0.9421 0.7650 (multiplicity 1)
S 0.8398 0.0932 0.0738 (multiplicity 1)
S 0.9366 0.5757 0.0174 (multiplicity 1)
Cl 0.1273 0.1239 0.3150 (multiplicity 1)
Cl 0.1393 0.2768 0.6056 (multiplicity 1)
Cl 0.3659 0.9686 0.6859 (multiplicity 1)
Cl 0.4519 0.4449 0.6508 (multiplicity 1)
Cl 0.4708 0.3674 0.1652 (multiplicity 1)
Cl 0.6497 0.3928 0.5048 (multiplicity 1)
Cl 0.6690 0.1618 0.2291 (multiplicity 1)
Cl 0.7062 0.3232 0.0407 (multiplicity 1)
Cl 0.8081 0.1890 0.5346 (multiplicity 1)
Cl 0.9062 0.2577 0.8500 (multiplicity 1)
Cl 0.9675 0.7101 0.8220 (multiplicity 1)
Cl 0.9779 0.4852 0.5351 (multiplicity 1)

Summary:
- ΔH_f (0 K) (eV/atom) = -0.82
- mass density (g/cm3) = 6.2